1.
This record from Materials Project describes NbVP after structural relaxation. The functional is r²SCAN.

Cell: 6.4089 3.4115 7.7127 Å, 90.00 90.00 90.00°
With the nearest neighbours (Å) after each atom.
Space group Pnma (No. 62)
Unique sites:
1 Nb 0.0383 0.2500 0.1683 (multiplicity 4)  5 P 2.58-2.77, 2 V 2.83
2 V 0.1358 0.2500 0.5573 (multiplicity 4)  4 P 2.37-2.48, 2 V 2.59
3 P 0.2390 0.7500 0.3609 (multiplicity 4)  4 V 2.37-2.48, 4 Nb 2.58-2.60

electronic total energy = -16.89 eV per atom
formation energy = -21.9 kcal/mol of atoms

---

2.
This record from Materials Project describes Nb3PbS6 after structural relaxation. The functional is r²SCAN.

Cell: 5.8647 5.8647 14.8764 Å, 90.00 90.00 120.00°
With the nearest neighbours (Å) after each atom.
Space group P6_3/mcm (No. 193)
Unique sites:
1 Nb 0.0000 0.0000 0.2500 (multiplicity 2)  6 S 2.51
2 Nb 0.3333 0.6667 0.2500 (multiplicity 4)  6 S 2.49
3 Pb 0.0000 0.0000 0.0000 (multiplicity 2)  6 S 2.93
4 S 0.0000 0.3360 0.1457 (multiplicity 12)  3 Nb 2.49-2.51

electronic total energy = -19.05 eV per atom
formation energy = -27.2 kcal/mol of atoms

---

- Which of these has the highest formation energy?
  NbVP

---

Please write out number 1 again, unchanged.
This record from Materials Project describes NbVP after structural relaxation. The functional is r²SCAN.

Cell: 6.4089 3.4115 7.7127 Å, 90.00 90.00 90.00°
With the nearest neighbours (Å) after each atom.
Space group Pnma (No. 62)
Unique sites:
1 Nb 0.0383 0.2500 0.1683 (multiplicity 4)  5 P 2.58-2.77, 2 V 2.83
2 V 0.1358 0.2500 0.5573 (multiplicity 4)  4 P 2.37-2.48, 2 V 2.59
3 P 0.2390 0.7500 0.3609 (multiplicity 4)  4 V 2.37-2.48, 4 Nb 2.58-2.60

electronic total energy = -16.89 eV per atom
formation energy = -21.9 kcal/mol of atoms

---

- electronic total energy of number 1 (NbVP)?
  -16.89 eV per atom

---

- What is the electronic total energy in the first record?
  -16.89 eV per atom